# Li4MnCo2O7 PBE+U relaxed
# V, Å³/atom: 9.09
# MP2020-corrected energy, eV/atom: -6.4932
# Formation enthalpy at 0 K, eV/atom: -1.8039
# Polymorph energy (0 for the lowest one), eV per atom: 0.080
# Total DFT energy (no corrections), eV per atom: -5.80
# Magnetization, μB per formula unit: 4.7
data_Li4MnCo2O7
_symmetry_space_group_name_H-M 'C 1 m 1'
_symmetry_Int_Tables_number 8
_cell_length_a 33.9774
_cell_length_b 2.8914
_cell_length_c 5.1888
_cell_angle_alpha 90.00
_cell_angle_beta 93.35
_cell_angle_gamma 90.00
loop_
_symmetry_equiv_pos_as_xyz
'x,y,z'
'x,-y,z'
'x+1/2,y+1/2,z'
'x+1/2,-y+1/2,z'
loop_
_atom_site_label
_atom_site_type_symbol
_atom_site_fract_x
_atom_site_fract_y
_atom_site_fract_z
Li1 Li 0.0000 0.0000 0.0000
Li2 Li 0.0046 0.5000 0.4977
Li3 Li 0.0710 0.0000 0.3765
Li4 Li 0.1402 0.5000 0.2188
Li5 Li 0.2143 0.0000 0.0781
Li6 Li 0.2902 0.5000 0.9298
Li7 Li 0.3598 0.0000 0.7833
Li8 Li 0.4322 0.5000 0.6528
Mn1 Mn 0.2162 0.5000 0.5820
Mn2 Mn 0.4316 0.0000 0.1421
Co1 Co 0.0677 0.5000 0.8870
Co2 Co 0.1417 0.0000 0.7246
Co3 Co 0.2884 0.0000 0.4294
Co4 Co 0.3579 0.5000 0.2851
O1 O 0.0392 0.0000 0.6980
O2 O 0.0393 0.5000 0.1824
O3 O 0.1082 0.0000 0.0235
O4 O 0.1130 0.5000 0.5577
O5 O 0.1808 0.5000 0.8683
O6 O 0.1851 0.0000 0.4202
O7 O 0.2470 0.0000 0.7466
O8 O 0.2510 0.5000 0.2964
O9 O 0.3219 0.5000 0.5874
O10 O 0.3240 0.0000 0.1100
O11 O 0.3929 0.0000 0.4389
O12 O 0.3971 0.5000 0.9942
O13 O 0.4613 0.0000 0.8592
O14 O 0.4607 0.5000 0.3111